No. 1
This record from Materials Project describes crystalline Te at its relaxed geometry. The functional is PBE-GGA.

## Properties
**Space group**: P2_12_12, No. 18
**Distance to the lowest polymorph of the same formula**: 11.8 kJ/mol of atoms

a = 5.248 Å, b = 8.299 Å, c = 3.107 Å
α = 90.00°, β = 90.00°, γ = 90.00°
Atoms (fractional coordinates):
Te1 0.204 0.110 0.262
Te2 0.296 0.610 0.738
Te3 0.704 0.390 0.738
Te4 0.796 0.890 0.262



No. 2
This record from Materials Project describes crystalline KZnH5S2O10 at its relaxed geometry. The functional is PBE-GGA.

## Properties
**Corrected total energy (MP2020 scheme)**: -5.772 eV/atom
**Space group**: P1, No. 1
**Total magnetic moment**: 0.00 Bohr magnetons per cell

a = 4.641 Å, b = 5.867 Å, c = 8.305 Å
α = 103.34°, β = 99.54°, γ = 95.49°
Atoms (fractional coordinates):
K1 0.000 0.000 0.000
Zn1 0.004 0.008 0.512
H1 0.065 0.657 0.668
H2 0.385 0.731 0.634
H3 0.499 0.531 0.018
H4 0.618 0.265 0.378
H5 0.934 0.337 0.340
S1 0.389 0.681 0.266
S2 0.609 0.318 0.748
O1 0.201 0.789 0.654
O2 0.215 0.878 0.300
O3 0.219 0.445 0.235
O4 0.351 0.286 0.606
O5 0.489 0.700 0.098
O6 0.509 0.306 0.909
O7 0.652 0.713 0.401
O8 0.782 0.551 0.770
O9 0.785 0.119 0.709
O10 0.797 0.203 0.351



No. 3
This record from Materials Project describes crystalline Al2O3 at its relaxed geometry. The functional is PBE-GGA.

## Properties
**Corrected total energy (MP2020 scheme)**: -7.702 eV/atom
**Space group**: P1, No. 1
**Total magnetic moment**: 0.01 Bohr magnetons per cell

a = 10.236 Å, b = 10.413 Å, c = 10.525 Å
α = 86.53°, β = 89.51°, γ = 87.65°
Atoms (fractional coordinates):
Al1 0.000 0.000 0.000
Al2 0.004 0.031 0.482
Al3 0.023 0.121 0.221
Al4 0.025 0.715 0.569
Al5 0.065 0.794 0.251
Al6 0.079 0.212 0.692
Al7 0.099 0.404 0.242
Al8 0.137 0.451 0.736
Al9 0.144 0.920 0.809
Al10 0.224 0.230 0.404
Al11 0.250 0.534 0.001
Al12 0.279 0.790 0.381
Al13 0.295 0.823 0.051
Al14 0.309 0.028 0.558
Al15 0.332 0.547 0.574
Al16 0.350 0.503 0.290
Al17 0.411 0.269 0.589
Al18 0.423 0.365 0.833
Al19 0.465 0.661 0.820
Al20 0.469 0.300 0.070
Al21 0.512 0.743 0.501
Al22 0.531 0.204 0.315
Al23 0.544 0.745 0.171
Al24 0.556 0.015 0.081
Al25 0.585 0.135 0.794
Al26 0.612 0.021 0.576
Al27 0.615 0.452 0.208
Al28 0.631 0.451 0.587
Al29 0.660 0.918 0.356
Al30 0.683 0.434 0.887
Al31 0.713 0.853 0.921
Al32 0.760 0.675 0.753
Al33 0.776 0.643 0.378
Al34 0.816 0.852 0.159
Al35 0.823 0.278 0.383
Al36 0.879 0.573 0.103
Al37 0.882 0.983 0.705
Al38 0.936 0.448 0.513
Al39 0.973 0.311 0.965
Al40 0.997 0.659 0.840
O1 0.001 0.029 0.825
O2 0.010 0.952 0.193
O3 0.035 0.375 0.628
O4 0.092 0.776 0.770
O5 0.097 0.291 0.840
O6 0.108 0.781 0.415
O7 0.121 0.538 0.884
O8 0.147 0.231 0.244
O9 0.163 0.589 0.611
O10 0.168 0.920 0.979
O11 0.169 0.057 0.434
O12 0.213 0.527 0.168
O13 0.224 0.406 0.377
O14 0.236 0.214 0.590
O15 0.238 0.795 0.212
O16 0.248 0.986 0.706
O17 0.310 0.411 0.710
O18 0.333 0.384 0.986
O19 0.335 0.685 0.952
O20 0.352 0.632 0.414
O21 0.367 0.879 0.486
O22 0.396 0.185 0.427
O23 0.434 0.663 0.650
O24 0.450 0.877 0.086
O25 0.451 0.363 0.237
O26 0.463 0.425 0.517
O27 0.470 0.091 0.648
O28 0.488 0.146 0.160
O29 0.490 0.588 0.199
O30 0.493 0.221 0.915
O31 0.511 0.501 0.862
O32 0.538 0.802 0.326
O33 0.555 0.302 0.702
O34 0.610 0.741 0.836
O35 0.614 0.004 0.920
O36 0.622 0.394 0.052
O37 0.628 0.078 0.413
O38 0.632 0.860 0.537
O39 0.642 0.608 0.483
O40 0.676 0.303 0.299
O41 0.686 0.978 0.190
O42 0.690 0.761 0.080
O43 0.702 0.518 0.726
O44 0.719 0.069 0.693
O45 0.759 0.550 0.234
O46 0.778 0.371 0.519
O47 0.800 0.809 0.330
O48 0.815 0.837 0.780
O49 0.821 0.332 0.895
O50 0.854 0.615 0.935
O51 0.858 0.913 0.004
O52 0.911 0.125 0.355
O53 0.922 0.630 0.693
O54 0.926 0.611 0.459
O55 0.949 0.891 0.567
O56 0.958 0.708 0.162
O57 0.963 0.127 0.609
O58 0.964 0.378 0.359
O59 0.984 0.425 0.100
O60 0.988 0.159 0.057



No. 4
This record from Materials Project describes crystalline Ca2BClO3 at its relaxed geometry. The functional is PBE-GGA.

## Properties
**Corrected total energy (MP2020 scheme)**: -7.038 eV/atom
**Space group**: P2_1/c, No. 14
**Total magnetic moment**: 0.00 Bohr magnetons per cell

a = 3.984 Å, b = 8.754 Å, c = 12.517 Å
α = 90.00°, β = 100.32°, γ = 90.00°
Atoms (fractional coordinates):
Ca1 0.171 0.121 0.117
Ca2 0.171 0.379 0.617
Ca3 0.207 0.618 0.140
Ca4 0.207 0.882 0.640
Ca5 0.793 0.118 0.360
Ca6 0.793 0.382 0.860
Ca7 0.829 0.621 0.383
Ca8 0.829 0.879 0.883
B1 0.210 0.134 0.844
B2 0.210 0.366 0.344
B3 0.790 0.634 0.656
B4 0.790 0.866 0.156
Cl1 0.300 0.625 0.913
Cl2 0.300 0.875 0.413
Cl3 0.700 0.125 0.587
Cl4 0.700 0.375 0.087
O1 0.019 0.141 0.928
O2 0.019 0.359 0.428
O3 0.276 0.230 0.295
O4 0.276 0.270 0.795
O5 0.301 0.510 0.312
O6 0.301 0.990 0.812
O7 0.699 0.010 0.188
O8 0.699 0.490 0.688
O9 0.724 0.730 0.205
O10 0.724 0.770 0.705
O11 0.981 0.641 0.572
O12 0.981 0.859 0.072



No. 5
This record from Materials Project describes crystalline LiSbPO5 at its relaxed geometry. The functional is PBE-GGA.

## Properties
**Corrected total energy (MP2020 scheme)**: -6.829 eV/atom
**Space group**: Cc, No. 9
**Total magnetic moment**: 0.00 Bohr magnetons per cell
**Distance to the lowest polymorph of the same formula**: 2.4 kJ/mol of atoms

a = 5.543 Å, b = 5.543 Å, c = 7.493 Å
α = 106.18°, β = 106.18°, γ = 98.29°
Atoms (fractional coordinates):
Li1 0.190 0.810 0.500
Li2 0.810 0.190 0.000
Sb1 0.588 0.593 0.846
Sb2 0.593 0.588 0.346
P1 0.262 0.950 0.108
P2 0.950 0.262 0.608
O1 0.228 0.328 0.758
O2 0.272 0.755 0.226
O3 0.328 0.228 0.258
O4 0.464 0.929 0.998
O5 0.503 0.689 0.596
O6 0.689 0.503 0.096
O7 0.755 0.272 0.726
O8 0.899 0.983 0.463
O9 0.929 0.464 0.498
O10 0.983 0.899 0.963



No. 6
This record from Materials Project describes crystalline YN at its relaxed geometry. The functional is PBE-GGA.

## Properties
**Corrected total energy (MP2020 scheme)**: -8.798 eV/atom
**Space group**: P-6m2, No. 187
**Total magnetic moment**: 0.00 Bohr magnetons per cell

a = 3.366 Å, b = 3.366 Å, c = 3.063 Å
α = 90.00°, β = 90.00°, γ = 120.00°
Atoms (fractional coordinates):
Y1 0.000 0.000 0.000
N1 0.333 0.667 0.500



No. 7
This record from Materials Project describes crystalline GeO2 at its relaxed geometry. The functional is PBE-GGA.

## Properties
**Corrected total energy (MP2020 scheme)**: -6.916 eV/atom
**Space group**: P4_12_12, No. 92
**Maximum piezoelectric response**: 0.02 C/m2

a = 5.087 Å, b = 5.087 Å, c = 7.292 Å
α = 90.00°, β = 90.00°, γ = 90.00°
Atoms (fractional coordinates):
Ge1 0.181 0.181 0.000
Ge2 0.319 0.681 0.250
Ge3 0.681 0.319 0.750
Ge4 0.819 0.819 0.500
O1 0.157 0.772 0.454
O2 0.228 0.843 0.046
O3 0.272 0.343 0.204
O4 0.343 0.272 0.796
O5 0.657 0.728 0.296
O6 0.728 0.657 0.704
O7 0.772 0.157 0.546
O8 0.843 0.228 0.954



No. 8
This record from Materials Project describes crystalline Ta at its relaxed geometry. The functional is PBE-GGA.

## Properties
**Space group**: P4_2/mnm, No. 136
**Distance to the lowest polymorph of the same formula**: 0.7 kJ/mol of atoms

a = 10.250 Å, b = 10.250 Å, c = 5.344 Å
α = 90.00°, β = 90.00°, γ = 90.00°
Atoms (fractional coordinates):
Ta1 0.000 0.000 0.000
Ta2 0.035 0.371 0.500
Ta3 0.067 0.261 0.000
Ta4 0.105 0.105 0.500
Ta5 0.129 0.535 0.000
Ta6 0.181 0.819 0.250
Ta7 0.181 0.819 0.750
Ta8 0.239 0.567 0.500
Ta9 0.261 0.067 0.000
Ta10 0.319 0.319 0.250
Ta11 0.319 0.319 0.750
Ta12 0.371 0.035 0.500
Ta13 0.395 0.605 0.000
Ta14 0.433 0.761 0.500
Ta15 0.465 0.871 0.000
Ta16 0.500 0.500 0.500
Ta17 0.535 0.129 0.000
Ta18 0.567 0.239 0.500
Ta19 0.605 0.395 0.000
Ta20 0.629 0.965 0.500
Ta21 0.681 0.681 0.250
Ta22 0.681 0.681 0.750
Ta23 0.739 0.933 0.000
Ta24 0.761 0.433 0.500
Ta25 0.819 0.181 0.250
Ta26 0.819 0.181 0.750
Ta27 0.871 0.465 0.000
Ta28 0.895 0.895 0.500
Ta29 0.933 0.739 0.000
Ta30 0.965 0.629 0.500



No. 9
This record from Materials Project describes crystalline LiDy3 at its relaxed geometry. The functional is PBE-GGA.

## Properties
**Space group**: Pm-3m, No. 221
**Total magnetic moment**: 0.00 Bohr magnetons per cell
**Distance to the lowest polymorph of the same formula**: 0.5 kJ/mol of atoms

a = 4.880 Å, b = 4.880 Å, c = 4.880 Å
α = 90.00°, β = 90.00°, γ = 90.00°
Atoms (fractional coordinates):
Li1 0.000 0.000 0.000
Dy1 0.000 0.500 0.500
Dy2 0.500 0.000 0.500
Dy3 0.500 0.500 0.000



No. 10
This record from Materials Project describes crystalline Tc2O5F4 at its relaxed geometry. The functional is PBE-GGA.

## Properties
**Corrected total energy (MP2020 scheme)**: -6.897 eV/atom
**Space group**: P2_1/c, No. 14

a = 8.637 Å, b = 15.409 Å, c = 5.487 Å
α = 90.00°, β = 90.43°, γ = 90.00°
Atoms (fractional coordinates):
Tc1 0.126 0.124 0.176
Tc2 0.126 0.376 0.676
Tc3 0.373 0.647 0.983
Tc4 0.373 0.853 0.483
Tc5 0.627 0.147 0.517
Tc6 0.627 0.353 0.017
Tc7 0.874 0.624 0.324
Tc8 0.874 0.876 0.824
O1 0.038 0.597 0.482
O2 0.038 0.903 0.982
O3 0.141 0.058 0.423
O4 0.141 0.442 0.923
O5 0.282 0.105 0.996
O6 0.282 0.395 0.496
O7 0.384 0.596 0.712
O8 0.384 0.904 0.212
O9 0.388 0.563 0.182
O10 0.388 0.937 0.682
O11 0.612 0.063 0.318
O12 0.612 0.437 0.818
O13 0.616 0.096 0.788
O14 0.616 0.404 0.288
O15 0.718 0.605 0.504
O16 0.718 0.895 0.004
O17 0.859 0.558 0.077
O18 0.859 0.942 0.577
O19 0.962 0.097 0.018
O20 0.962 0.403 0.518
F1 0.119 0.240 0.274
F2 0.119 0.260 0.774
F3 0.159 0.663 0.992
F4 0.159 0.837 0.492
F5 0.355 0.733 0.288
F6 0.355 0.767 0.788
F7 0.421 0.185 0.494
F8 0.421 0.315 0.994
F9 0.579 0.685 0.006
F10 0.579 0.815 0.506
F11 0.645 0.233 0.212
F12 0.645 0.267 0.712
F13 0.841 0.163 0.508
F14 0.841 0.337 0.008
F15 0.881 0.740 0.226
F16 0.881 0.760 0.726



No. 11
This record from Materials Project describes crystalline LiCuPO4 at its relaxed geometry. The functional is PBE-GGA.

## Properties
**Corrected total energy (MP2020 scheme)**: -6.600 eV/atom
**Space group**: P2_1/c, No. 14
**Total magnetic moment**: 4.00 Bohr magnetons per cell
**Distance to the lowest polymorph of the same formula**: 5.4 kJ/mol of atoms

a = 5.541 Å, b = 6.092 Å, c = 10.556 Å
α = 90.00°, β = 118.37°, γ = 90.00°
Atoms (fractional coordinates):
Li1 0.224 0.139 0.070
Li2 0.224 0.361 0.570
Li3 0.776 0.639 0.430
Li4 0.776 0.861 0.930
Cu1 0.205 0.614 0.858
Cu2 0.205 0.886 0.358
Cu3 0.795 0.114 0.642
Cu4 0.795 0.386 0.142
P1 0.357 0.647 0.133
P2 0.357 0.853 0.633
P3 0.643 0.147 0.367
P4 0.643 0.353 0.867
O1 0.235 0.655 0.237
O2 0.235 0.845 0.737
O3 0.238 0.665 0.517
O4 0.238 0.835 0.017
O5 0.272 0.062 0.534
O6 0.272 0.438 0.034
O7 0.322 0.140 0.277
O8 0.322 0.360 0.777
O9 0.678 0.640 0.223
O10 0.678 0.860 0.723
O11 0.728 0.562 0.966
O12 0.728 0.938 0.466
O13 0.762 0.165 0.983
O14 0.762 0.335 0.483
O15 0.765 0.155 0.263
O16 0.765 0.345 0.763



No. 12
This record from Materials Project describes crystalline Li2Cu2Si5O13 at its relaxed geometry. The functional is PBE-GGA.

## Properties
**Corrected total energy (MP2020 scheme)**: -7.365 eV/atom
**Space group**: P-1, No. 2
**Total magnetic moment**: 4.00 Bohr magnetons per cell

a = 7.613 Å, b = 7.854 Å, c = 9.664 Å
α = 83.03°, β = 68.75°, γ = 67.84°
Atoms (fractional coordinates):
Li1 0.154 0.402 0.240
Li2 0.214 0.068 0.364
Li3 0.786 0.932 0.636
Li4 0.846 0.598 0.760
Cu1 0.047 0.148 0.098
Cu2 0.440 0.845 0.909
Cu3 0.560 0.155 0.091
Cu4 0.953 0.852 0.902
Si1 0.175 0.220 0.761
Si2 0.205 0.692 0.552
Si3 0.244 0.756 0.234
Si4 0.312 0.461 0.903
Si5 0.385 0.290 0.448
Si6 0.615 0.710 0.552
Si7 0.688 0.539 0.097
Si8 0.756 0.244 0.766
Si9 0.795 0.308 0.448
Si10 0.825 0.780 0.239
O1 0.006 0.774 0.694
O2 0.057 0.693 0.247
O3 0.193 0.680 0.934
O4 0.194 0.829 0.405
O5 0.198 0.055 0.880
O6 0.210 0.498 0.499
O7 0.216 0.395 0.799
O8 0.276 0.924 0.123
O9 0.316 0.323 0.043
O10 0.324 0.154 0.588
O11 0.380 0.211 0.304
O12 0.404 0.683 0.579
O13 0.447 0.572 0.195
O14 0.553 0.428 0.805
O15 0.596 0.317 0.421
O16 0.620 0.789 0.696
O17 0.676 0.846 0.412
O18 0.684 0.677 0.957
O19 0.724 0.076 0.877
O20 0.784 0.605 0.201
O21 0.790 0.502 0.501
O22 0.802 0.945 0.120
O23 0.806 0.171 0.595
O24 0.807 0.320 0.066
O25 0.943 0.307 0.753
O26 0.994 0.226 0.306



No. 13
This record from Materials Project describes crystalline Y2MgCd at its relaxed geometry. The functional is PBE-GGA.

## Properties
**Space group**: Fm-3m, No. 225

a = 5.339 Å, b = 5.339 Å, c = 5.339 Å
α = 60.00°, β = 60.00°, γ = 60.00°
Atoms (fractional coordinates):
Y1 0.250 0.250 0.250
Y2 0.750 0.750 0.750
Mg1 0.000 0.000 0.000
Cd1 0.500 0.500 0.500



Number 1: E_form 11.85 kJ/mol of atoms, uncorrected energy -0.11100 hartree per atom. Number 2: E_form -165.43 kJ/mol of atoms, uncorrected energy -0.19882 hartree per atom. Number 3: E_form -312.10 kJ/mol of atoms, uncorrected energy -0.26789 hartree per atom. Number 4: E_form -301.62 kJ/mol of atoms, uncorrected energy -0.24782 hartree per atom. Number 5: E_form -222.44 kJ/mol of atoms, uncorrected energy -0.23519 hartree per atom. Number 6: E_form -134.71 kJ/mol of atoms, uncorrected energy -0.31667 hartree per atom. Number 7: E_form -200.35 kJ/mol of atoms, uncorrected energy -0.23733 hartree per atom. Number 8: E_form 0.68 kJ/mol of atoms, uncorrected energy -0.43551 hartree per atom. Number 9: E_form 18.79 kJ/mol of atoms, uncorrected energy -0.13735 hartree per atom. Number 10: E_form -199.57 kJ/mol of atoms, uncorrected energy -0.23582 hartree per atom. Number 11: E_form -206.60 kJ/mol of atoms, uncorrected energy -0.22813 hartree per atom. Number 12: E_form -256.88 kJ/mol of atoms, uncorrected energy -0.25575 hartree per atom. Number 13: E_form -21.79 kJ/mol of atoms, uncorrected energy -0.15030 hartree per atom.